[1]
Density functional theory data (GGA-PBE) for a relaxed structure of Ba3SrLu2Bi2O12.

Computed properties:
crystal system: tetragonal
ΔE_f: -2849 meV/atom

Unit cell a=6.0666 b=6.0666 c=8.5762 alpha=90.00 beta=90.00 gamma=90.00
Closest atoms and distances in Å follow each position.
Space group P-4m2 (No. 115)
Unique sites:
Ba 0.0000 0.0000 0.0000 x1  12 O 3.03-3.05
Ba 0.0000 0.0000 0.5000 x1  12 O 3.03
Ba 0.5000 0.5000 0.0000 x1  12 O 3.03
Sr 0.5000 0.5000 0.5000 x1  12 O 3.02-3.03
Lu 0.0000 0.5000 0.2509 x2  6 O 2.16-2.18
Bi 0.0000 0.5000 0.7494 x2  6 O 2.11-2.12
O 0.0000 0.5000 0.5032 x2  1 Bi 2.11, 1 Lu 2.16
O 0.0000 0.5000 0.9968 x2  1 Bi 2.12, 1 Lu 2.18
O 0.2480 0.2545 0.7486 x8  1 Bi 2.12, 1 Lu 2.17

---

[2]
Density functional theory data (GGA-PBE) for a relaxed structure of BaSrLuBiO6.

Computed properties:
crystal system: monoclinic
ΔE_f: -2866 meV/atom

Unit cell a=6.0260 b=6.0261 c=10.4313 alpha=90.00 beta=125.23 gamma=90.00
Closest atoms and distances in Å follow each position.
Space group Pc (No. 7)
Unique sites:
Ba 0.0000 0.2348 0.0000 x2  7 O 2.72-3.03
Sr 0.4893 0.2742 0.4997 x2  6 O 2.61-2.88
Lu 0.7463 0.2492 0.2500 x2  6 O 2.18-2.20
Bi 0.2461 0.2491 0.7495 x2  6 O 2.13-2.15
O 0.0097 0.4774 0.7803 x2  1 Bi 2.13, 1 Lu 2.18
O 0.0727 0.0311 0.2880 x2  1 Bi 2.14, 1 Lu 2.20
O 0.4411 0.4801 0.2197 x2  1 Bi 2.14, 1 Lu 2.18
O 0.4866 0.0359 0.7104 x2  1 Bi 2.14, 1 Lu 2.20
O 0.5464 0.2658 0.9968 x2  1 Bi 2.13, 1 Lu 2.18
O 0.9255 0.2414 0.5033 x2  1 Bi 2.15, 1 Lu 2.20

---

Short version: spin magnetization = 0.0 0.0 μB/f.u., in the order given.
Short version: final energy = -6.619 -6.625 eV per atom, in the order given.
Short version: E (MP2020) = -140.62 -70.37 eV per formula unit, in the order given.